No. 1
Here is a relaxed structure of TaNiB from Materials Project. Energies are from GGA-PBE.

Unit cell a=6.847 b=6.847 c=3.056 alpha=90.00 beta=90.00 gamma=152.15
Sites, in units of the cell vectors:
Ta 0.901 0.099 0.750
Ta 0.099 0.901 0.250
Ni 0.704 0.296 0.750
Ni 0.296 0.704 0.250
B 0.535 0.465 0.750
B 0.465 0.535 0.250

Results
* energy of formation from the pure elements: -0.617 eV per atom

No. 2
Here is a relaxed structure of Ta3Ni20B6 from Materials Project. Energies are from GGA-PBE.

Unit cell a=7.462 b=7.462 c=7.462 alpha=60.00 beta=60.00 gamma=60.00
Sites, in units of the cell vectors:
Ta 0.000 0.000 0.000
Ta 0.750 0.750 0.750
Ta 0.250 0.250 0.250
Ni 0.615 0.615 0.154
Ni 0.615 0.154 0.615
Ni 0.154 0.615 0.615
Ni 0.615 0.615 0.615
Ni 0.385 0.385 0.846
Ni 0.385 0.846 0.385
Ni 0.846 0.385 0.385
Ni 0.385 0.385 0.385
Ni 0.000 0.000 0.343
Ni 0.657 0.000 0.343
Ni 0.000 0.657 0.343
Ni 0.657 0.343 0.000
Ni 0.000 0.343 0.000
Ni 0.000 0.343 0.657
Ni 0.343 0.657 0.000
Ni 0.343 0.000 0.657
Ni 0.343 0.000 0.000
Ni 0.000 0.000 0.657
Ni 0.000 0.657 0.000
Ni 0.657 0.000 0.000
B 0.733 0.733 0.267
B 0.267 0.733 0.267
B 0.733 0.267 0.267
B 0.267 0.267 0.733
B 0.733 0.267 0.733
B 0.267 0.733 0.733

Results
* energy of formation from the pure elements: -0.376 eV per atom